Entry from the Materials Project: an optimized crystal structure of V2OF5 (PBE+U). Values from VASP.

Geometry as Quantum ESPRESSO input:
```
&SYSTEM
  ibrav = 0, nat = 24, ntyp = 3
/
ATOMIC_SPECIES
V 50.94 V.upf
O 16.00 O.upf
F 19.00 F.upf
ATOMIC_POSITIONS crystal
V 0.000 0.000 0.000
V 0.133 0.167 0.332
V 0.316 0.357 0.663
V 0.481 0.524 0.997
V 0.649 0.692 0.331
V 0.800 0.835 0.667
O 0.190 0.757 0.021
O 0.628 0.590 0.689
O 0.960 0.922 0.354
F 0.097 0.642 0.630
F 0.295 0.246 0.033
F 0.299 0.438 0.830
F 0.331 0.268 0.496
F 0.332 0.461 0.302
F 0.428 0.974 0.294
F 0.537 0.080 0.698
F 0.636 0.787 0.497
F 0.661 0.607 0.163
F 0.663 0.808 0.961
F 0.769 0.294 0.968
F 0.871 0.413 0.366
F 0.966 0.116 0.163
F 0.996 0.951 0.830
F 0.997 0.127 0.634
CELL_PARAMETERS angstrom
5.239 0.000 0.000
-0.027 5.414 0.000
-2.576 -2.142 11.383
```

E above lowest polymorph (meV/atom): 4.5
Energy (eV per cell): -151.84
Space-group type: P1



Entry from the Materials Project: an optimized crystal structure of V2O3F (PBE+U). Values from VASP.

Geometry as Quantum ESPRESSO input:
```
&SYSTEM
  ibrav = 0, nat = 6, ntyp = 3
/
ATOMIC_SPECIES
V 50.94 V.upf
O 16.00 O.upf
F 19.00 F.upf
ATOMIC_POSITIONS crystal
V 0.000 0.000 0.000
V 0.500 0.461 0.461
O 0.000 0.276 0.276
O 0.500 0.176 0.784
O 0.500 0.784 0.176
F 0.000 0.677 0.677
CELL_PARAMETERS angstrom
2.989 0.000 0.000
0.000 3.249 3.398
0.000 -3.249 3.398
```

E above lowest polymorph (meV/atom): 61.9
Energy (eV per cell): -44.65
Space-group type: Amm2



Entry from the Materials Project: an optimized crystal structure of V2O3F3 (PBE+U). Values from VASP.

Geometry as Quantum ESPRESSO input:
```
&SYSTEM
  ibrav = 0, nat = 24, ntyp = 3
/
ATOMIC_SPECIES
V 50.94 V.upf
O 16.00 O.upf
F 19.00 F.upf
ATOMIC_POSITIONS crystal
V 0.000 0.000 0.000
V 0.033 0.975 0.499
V 0.324 0.366 0.340
V 0.391 0.349 0.827
V 0.646 0.657 0.159
V 0.731 0.637 0.668
O 0.019 0.422 0.743
O 0.124 0.245 0.406
O 0.277 0.660 0.406
O 0.369 0.754 0.077
O 0.436 0.573 0.742
O 0.607 0.424 0.241
O 0.681 0.253 0.905
O 0.793 0.915 0.077
O 0.942 0.764 0.574
F 0.038 0.577 0.240
F 0.101 0.663 0.907
F 0.266 0.088 0.907
F 0.367 0.923 0.577
F 0.455 0.992 0.240
F 0.606 0.007 0.744
F 0.695 0.082 0.402
F 0.766 0.345 0.571
F 0.948 0.347 0.076
CELL_PARAMETERS angstrom
5.186 0.000 0.000
2.556 4.529 0.000
0.158 0.298 13.245
```

E above lowest polymorph (meV/atom): 8.3
Energy (eV per cell): -159.25
Space-group type: P1



Entry from the Materials Project: an optimized crystal structure of V2OF5 (PBE+U). Values from VASP.

Geometry as Quantum ESPRESSO input:
```
&SYSTEM
  ibrav = 0, nat = 16, ntyp = 3
/
ATOMIC_SPECIES
V 50.94 V.upf
O 16.00 O.upf
F 19.00 F.upf
ATOMIC_POSITIONS crystal
V 0.000 0.236 0.000
V 0.000 0.764 0.500
V 0.341 0.240 0.360
V 0.341 0.760 0.860
O 0.264 0.045 0.481
O 0.264 0.955 0.981
F 0.056 0.461 0.850
F 0.056 0.539 0.350
F 0.348 0.419 0.183
F 0.348 0.581 0.683
F 0.622 0.031 0.846
F 0.622 0.969 0.346
F 0.700 0.469 0.490
F 0.700 0.531 0.990
F 0.982 0.068 0.174
F 0.982 0.932 0.674
CELL_PARAMETERS angstrom
4.857 0.000 0.000
0.000 4.878 0.000
-4.786 0.000 8.797
```

E above lowest polymorph (meV/atom): 42.4
Energy (eV per cell): -100.62
Space-group type: Pc



Entry from the Materials Project: an optimized crystal structure of V2O3F3 (PBE+U). Values from VASP.

Geometry as Quantum ESPRESSO input:
```
&SYSTEM
  ibrav = 0, nat = 16, ntyp = 3
/
ATOMIC_SPECIES
V 50.94 V.upf
O 16.00 O.upf
F 19.00 F.upf
ATOMIC_POSITIONS crystal
V 0.034 0.000 0.231
V 0.455 0.490 0.733
V 0.545 0.490 0.267
V 0.966 0.000 0.769
O 0.000 0.887 0.000
O 0.208 0.672 0.712
O 0.211 0.252 0.210
O 0.500 0.408 0.500
O 0.789 0.252 0.790
O 0.792 0.672 0.288
F 0.000 0.036 0.500
F 0.286 0.177 0.792
F 0.295 0.758 0.291
F 0.500 0.546 0.000
F 0.705 0.758 0.709
F 0.714 0.177 0.208
CELL_PARAMETERS angstrom
5.417 0.000 0.000
0.000 5.283 0.000
-0.303 0.000 7.368
```

E above lowest polymorph (meV/atom): 60.7
Energy (eV per cell): -105.33
Space-group type: P2



Entry from the Materials Project: an optimized crystal structure of V4O7F5 (PBE+U). Values from VASP.

Geometry as Quantum ESPRESSO input:
```
&SYSTEM
  ibrav = 0, nat = 32, ntyp = 3
/
ATOMIC_SPECIES
V 50.94 V.upf
O 16.00 O.upf
F 19.00 F.upf
ATOMIC_POSITIONS crystal
V 0.000 0.000 0.000
V 0.012 0.513 0.499
V 0.202 0.416 0.131
V 0.252 0.906 0.635
V 0.499 0.262 0.757
V 0.516 0.774 0.255
V 0.783 0.628 0.878
V 0.799 0.139 0.378
O 0.136 0.472 0.828
O 0.149 0.986 0.329
O 0.188 0.261 0.557
O 0.194 0.749 0.057
O 0.290 0.131 0.182
O 0.302 0.620 0.681
O 0.324 0.094 0.699
O 0.680 0.992 0.810
O 0.684 0.503 0.310
O 0.788 0.376 0.935
O 0.798 0.888 0.435
O 0.835 0.849 0.954
O 0.837 0.635 0.164
O 0.840 0.367 0.452
F 0.158 0.773 0.540
F 0.170 0.262 0.037
F 0.322 0.607 0.200
F 0.322 0.896 0.916
F 0.331 0.403 0.416
F 0.642 0.521 0.792
F 0.653 0.031 0.291
F 0.658 0.740 0.577
F 0.673 0.232 0.077
F 0.829 0.133 0.663
CELL_PARAMETERS angstrom
5.238 0.000 0.000
2.610 4.679 0.000
2.492 -1.358 17.107
```

E above lowest polymorph (meV/atom): 11.4
Energy (eV per cell): -214.69
Space-group type: P1



Entry from the Materials Project: an optimized crystal structure of V2O3F3 (PBE+U). Values from VASP.

Geometry as Quantum ESPRESSO input:
```
&SYSTEM
  ibrav = 0, nat = 24, ntyp = 3
/
ATOMIC_SPECIES
V 50.94 V.upf
O 16.00 O.upf
F 19.00 F.upf
ATOMIC_POSITIONS crystal
V 0.000 0.000 0.000
V 0.028 0.903 0.487
V 0.299 0.318 0.661
V 0.329 0.289 0.159
V 0.615 0.673 0.820
V 0.706 0.581 0.328
O 0.016 0.533 0.736
O 0.031 0.381 0.235
O 0.250 0.051 0.065
O 0.251 0.634 0.567
O 0.344 0.719 0.900
O 0.437 0.953 0.737
O 0.689 0.199 0.068
O 0.774 0.293 0.400
O 0.926 0.719 0.406
F 0.092 0.208 0.564
F 0.101 0.628 0.064
F 0.341 0.882 0.401
F 0.436 0.554 0.231
F 0.605 0.375 0.735
F 0.611 0.956 0.236
F 0.680 0.052 0.566
F 0.765 0.870 0.901
F 0.925 0.290 0.900
CELL_PARAMETERS angstrom
5.216 0.000 0.000
2.608 4.541 0.000
0.070 0.014 13.247
```

E above lowest polymorph (meV/atom): 4.7
Energy (eV per cell): -159.34
Space-group type: P1



Entry from the Materials Project: an optimized crystal structure of V2OF5 (PBE+U). Values from VASP.

Geometry as Quantum ESPRESSO input:
```
&SYSTEM
  ibrav = 0, nat = 32, ntyp = 3
/
ATOMIC_SPECIES
V 50.94 V.upf
O 16.00 O.upf
F 19.00 F.upf
ATOMIC_POSITIONS crystal
V 0.045 0.045 0.184
V 0.215 0.162 0.565
V 0.322 0.298 0.936
V 0.417 0.432 0.314
V 0.568 0.583 0.686
V 0.702 0.678 0.064
V 0.838 0.785 0.435
V 0.955 0.955 0.816
O 0.053 0.185 0.871
O 0.096 0.608 0.352
O 0.392 0.904 0.648
O 0.815 0.947 0.129
F 0.039 0.405 0.477
F 0.089 0.454 0.026
F 0.106 0.688 0.898
F 0.123 0.877 0.500
F 0.296 0.660 0.226
F 0.302 0.454 0.627
F 0.312 0.894 0.102
F 0.340 0.704 0.774
F 0.347 0.137 0.247
F 0.546 0.698 0.373
F 0.546 0.911 0.974
F 0.564 0.141 0.847
F 0.595 0.961 0.523
F 0.610 0.390 0.000
F 0.629 0.172 0.397
F 0.788 0.176 0.726
F 0.824 0.212 0.274
F 0.828 0.371 0.603
F 0.859 0.436 0.153
F 0.863 0.653 0.753
CELL_PARAMETERS angstrom
4.740 -2.629 0.000
4.740 2.629 0.000
-3.840 0.000 17.274
```

E above lowest polymorph (meV/atom): 3.4
Energy (eV per cell): -202.49
Space-group type: C2



Entry from the Materials Project: an optimized crystal structure of V3O4F2 (PBE+U). Values from VASP.

Geometry as Quantum ESPRESSO input:
```
&SYSTEM
  ibrav = 0, nat = 18, ntyp = 3
/
ATOMIC_SPECIES
V 50.94 V.upf
O 16.00 O.upf
F 19.00 F.upf
ATOMIC_POSITIONS crystal
V 0.000 0.248 0.000
V 0.154 0.786 0.468
V 0.346 0.214 0.968
V 0.500 0.752 0.500
V 0.654 0.214 0.968
V 0.846 0.786 0.468
O 0.000 0.559 0.282
O 0.000 0.970 0.688
O 0.172 0.060 0.177
O 0.328 0.940 0.677
O 0.500 0.030 0.188
O 0.500 0.441 0.782
O 0.672 0.940 0.677
O 0.828 0.060 0.177
F 0.170 0.453 0.780
F 0.330 0.547 0.280
F 0.670 0.547 0.280
F 0.830 0.453 0.780
CELL_PARAMETERS angstrom
9.034 0.000 0.000
0.000 4.713 0.000
0.000 0.000 4.708
```

E above lowest polymorph (meV/atom): 13.3
Energy (eV per cell): -132.86
Space-group type: Pmn2_1



Entry from the Materials Project: an optimized crystal structure of VOF2 (PBE+U). Values from VASP.

Geometry as Quantum ESPRESSO input:
```
&SYSTEM
  ibrav = 0, nat = 24, ntyp = 3
/
ATOMIC_SPECIES
V 50.94 V.upf
O 16.00 O.upf
F 19.00 F.upf
ATOMIC_POSITIONS crystal
V 0.018 0.680 0.000
V 0.320 0.338 0.333
V 0.375 0.373 0.834
V 0.627 0.002 0.167
V 0.662 0.982 0.667
V 0.998 0.625 0.500
O 0.242 0.555 0.406
O 0.314 0.758 0.073
O 0.422 0.080 0.244
O 0.445 0.686 0.740
O 0.658 0.578 0.910
O 0.920 0.342 0.577
F 0.006 0.252 0.236
F 0.025 0.102 0.741
F 0.071 0.410 0.909
F 0.076 0.975 0.408
F 0.246 0.994 0.902
F 0.339 0.929 0.575
F 0.590 0.661 0.242
F 0.602 0.268 0.742
F 0.665 0.398 0.409
F 0.732 0.335 0.076
F 0.748 0.754 0.569
F 0.898 0.924 0.074
CELL_PARAMETERS angstrom
5.239 0.000 0.000
-2.619 4.537 0.000
0.000 0.000 13.397
```

Energy (eV per cell): -155.86
Space-group type: P3_1



Entry from the Materials Project: an optimized crystal structure of V4O7F5 (PBE+U). Values from VASP.

Geometry as Quantum ESPRESSO input:
```
&SYSTEM
  ibrav = 0, nat = 16, ntyp = 3
/
ATOMIC_SPECIES
V 50.94 V.upf
O 16.00 O.upf
F 19.00 F.upf
ATOMIC_POSITIONS crystal
V 0.000 0.000 0.000
V 0.197 0.500 0.749
V 0.520 0.001 0.503
V 0.771 0.480 0.250
O 0.053 0.697 0.874
O 0.098 0.192 0.844
O 0.461 0.191 0.632
O 0.596 0.198 0.346
O 0.917 0.695 0.168
O 0.919 0.692 0.591
O 0.951 0.197 0.125
F 0.093 0.192 0.430
F 0.409 0.696 0.090
F 0.427 0.679 0.675
F 0.536 0.708 0.385
F 0.595 0.187 0.924
CELL_PARAMETERS angstrom
5.219 0.000 0.000
2.593 4.659 0.000
0.102 2.811 8.494
```

E above lowest polymorph (meV/atom): 7.5
Energy (eV per cell): -107.41
Space-group type: P1



Entry from the Materials Project: an optimized crystal structure of V6O7F5 (PBE+U). Values from VASP.

Geometry as Quantum ESPRESSO input:
```
&SYSTEM
  ibrav = 0, nat = 18, ntyp = 3
/
ATOMIC_SPECIES
V 50.94 V.upf
O 16.00 O.upf
F 19.00 F.upf
ATOMIC_POSITIONS crystal
V 0.000 0.000 0.000
V 0.279 0.346 0.843
V 0.304 0.365 0.321
V 0.635 0.696 0.679
V 0.654 0.721 0.157
V 0.970 0.030 0.500
O 0.003 0.668 0.335
O 0.200 0.251 0.034
O 0.295 0.705 0.000
O 0.332 0.997 0.665
O 0.609 0.073 0.334
O 0.749 0.800 0.966
O 0.927 0.391 0.666
F 0.080 0.126 0.299
F 0.397 0.458 0.631
F 0.542 0.603 0.369
F 0.679 0.321 0.000
F 0.874 0.920 0.701
CELL_PARAMETERS angstrom
4.603 -3.249 0.000
4.603 3.249 0.000
-3.008 0.000 6.859
```

E above lowest polymorph (meV/atom): 13.8
Energy (eV per cell): -130.86
Space-group type: C2



- The lowest energy belongs to which entry?
  number 6



Repeat the sixth record exactly.
Entry from the Materials Project: an optimized crystal structure of V4O7F5 (PBE+U). Values from VASP.

Geometry as Quantum ESPRESSO input:
```
&SYSTEM
  ibrav = 0, nat = 32, ntyp = 3
/
ATOMIC_SPECIES
V 50.94 V.upf
O 16.00 O.upf
F 19.00 F.upf
ATOMIC_POSITIONS crystal
V 0.000 0.000 0.000
V 0.012 0.513 0.499
V 0.202 0.416 0.131
V 0.252 0.906 0.635
V 0.499 0.262 0.757
V 0.516 0.774 0.255
V 0.783 0.628 0.878
V 0.799 0.139 0.378
O 0.136 0.472 0.828
O 0.149 0.986 0.329
O 0.188 0.261 0.557
O 0.194 0.749 0.057
O 0.290 0.131 0.182
O 0.302 0.620 0.681
O 0.324 0.094 0.699
O 0.680 0.992 0.810
O 0.684 0.503 0.310
O 0.788 0.376 0.935
O 0.798 0.888 0.435
O 0.835 0.849 0.954
O 0.837 0.635 0.164
O 0.840 0.367 0.452
F 0.158 0.773 0.540
F 0.170 0.262 0.037
F 0.322 0.607 0.200
F 0.322 0.896 0.916
F 0.331 0.403 0.416
F 0.642 0.521 0.792
F 0.653 0.031 0.291
F 0.658 0.740 0.577
F 0.673 0.232 0.077
F 0.829 0.133 0.663
CELL_PARAMETERS angstrom
5.238 0.000 0.000
2.610 4.679 0.000
2.492 -1.358 17.107
```

E above lowest polymorph (meV/atom): 11.4
Energy (eV per cell): -214.69
Space-group type: P1



- Number 6 is which compound?
  V4O7F5



Please write out number 9 again, unchanged.
Entry from the Materials Project: an optimized crystal structure of V3O4F2 (PBE+U). Values from VASP.

Geometry as Quantum ESPRESSO input:
```
&SYSTEM
  ibrav = 0, nat = 18, ntyp = 3
/
ATOMIC_SPECIES
V 50.94 V.upf
O 16.00 O.upf
F 19.00 F.upf
ATOMIC_POSITIONS crystal
V 0.000 0.248 0.000
V 0.154 0.786 0.468
V 0.346 0.214 0.968
V 0.500 0.752 0.500
V 0.654 0.214 0.968
V 0.846 0.786 0.468
O 0.000 0.559 0.282
O 0.000 0.970 0.688
O 0.172 0.060 0.177
O 0.328 0.940 0.677
O 0.500 0.030 0.188
O 0.500 0.441 0.782
O 0.672 0.940 0.677
O 0.828 0.060 0.177
F 0.170 0.453 0.780
F 0.330 0.547 0.280
F 0.670 0.547 0.280
F 0.830 0.453 0.780
CELL_PARAMETERS angstrom
9.034 0.000 0.000
0.000 4.713 0.000
0.000 0.000 4.708
```

E above lowest polymorph (meV/atom): 13.3
Energy (eV per cell): -132.86
Space-group type: Pmn2_1